Entry 1:
Entry from Materials Project: Rb3Os after structural relaxation (PBE).

```
4
Lattice="-3.0141 3.0141 4.6906 3.0141 -3.0141 4.6906 3.0141 3.0141 -4.6906" Properties=species:S:1:pos:R:3 pbc="T T T"
Rb 0.0000 0.0000 0.0000
Rb 3.0141 0.0000 2.3453
Rb 0.0000 3.0141 2.3453
Os 0.0000 0.0000 4.6906
```

Total magnetization   1.362 μB/f.u.
Crystal system   tetragonal
ΔH_f (0 K)   5.648 eV per formula unit

***

Entry 2:
Entry from Materials Project: La13Hg58 after structural relaxation (PBE).

```
142
Lattice="16.3677 0.0000 0.0000 -8.1838 14.1748 0.0000 0.0000 0.0000 15.8330" Properties=species:S:1:pos:R:3 pbc="T T T"
La 0.0000 0.0000 0.0000
La 0.0000 0.0000 7.9165
La -3.0131 7.7103 3.9583
La 0.0000 3.5644 3.9583
La -5.0970 12.3926 3.9583
La 0.0000 5.8342 8.7744
La 0.0000 5.8342 14.9752
La -3.1313 11.2577 8.7744
La -3.1313 11.2577 14.9752
La 3.0869 1.7822 11.8748
La 5.0526 2.9171 0.8579
La 5.0526 2.9171 7.0587
La 3.0131 7.7103 3.9583
La 0.0000 12.9291 3.9583
La 8.1838 1.2457 11.8748
La 5.1707 6.4646 11.8748
La 3.1313 11.2577 8.7744
La 3.1313 11.2577 14.9752
La 5.0970 12.3926 3.9583
La 11.3151 2.9171 0.8579
La 11.3151 2.9171 7.0587
La 8.1838 8.3406 0.8579
La 8.1838 8.3406 7.0587
La 13.2808 1.7822 11.8748
La 8.1838 10.6104 11.8748
La 11.1970 6.4646 11.8748
Hg 0.0000 0.0000 3.9583
Hg 0.0000 0.0000 11.8748
Hg -1.6243 2.8134 0.0000
Hg -1.6243 2.8134 7.9165
Hg -4.0919 7.0874 0.0000
Hg -4.0919 7.0874 7.9165
Hg -6.5595 11.3614 0.0000
Hg -6.5595 11.3614 7.9165
Hg -2.3657 5.1482 1.6308
Hg -2.3657 5.1482 6.2857
Hg -4.9082 9.5520 1.6308
Hg -4.9082 9.5520 6.2857
Hg -1.6091 5.0225 11.8748
Hg -4.6388 10.2700 11.8748
Hg 0.0000 2.6477 10.3978
Hg 0.0000 2.6477 13.3517
Hg -5.8908 12.8509 10.3978
Hg -5.8908 12.8509 13.3517
Hg -2.6203 7.9370 10.2617
Hg -2.6203 7.9370 13.4878
Hg 2.2930 1.3239 2.4813
Hg 2.2930 1.3239 5.4352
Hg 3.2487 0.0000 0.0000
Hg 3.2487 0.0000 7.9165
Hg 1.6243 2.8134 0.0000
Hg 1.6243 2.8134 7.9165
Hg -1.6156 8.5171 0.9065
Hg -1.6156 8.5171 7.0100
Hg 0.0000 6.5794 2.5078
Hg 0.0000 6.5794 5.4087
Hg -2.4859 10.8851 2.5078
Hg -2.4859 10.8851 5.4087
Hg 0.0000 7.5705 11.8748
Hg -1.6276 10.3896 11.8748
Hg 1.6091 5.0225 11.8748
Hg -3.0297 13.0571 11.8748
Hg 2.3657 5.1482 1.6308
Hg 2.3657 5.1482 6.2857
Hg -2.5425 13.6494 1.6308
Hg -2.5425 13.6494 6.2857
Hg 0.0000 9.4499 3.9583
Hg 0.0000 9.4499 9.3772
Hg 0.0000 9.4499 14.3723
Hg 5.1542 1.1177 3.9583
Hg 3.5450 3.9048 3.9583
Hg 5.6413 0.5254 9.5473
Hg 5.6413 0.5254 14.2022
Hg 3.2756 4.6228 9.5473
Hg 3.2756 4.6228 14.2022
Hg 1.6157 8.5171 0.9065
Hg 1.6157 8.5171 7.0100
Hg 0.0000 11.3155 0.9065
Hg 0.0000 11.3155 7.0100
Hg 2.6203 7.9370 10.2617
Hg 2.6203 7.9370 13.4878
Hg 0.0000 12.4756 10.2617
Hg 0.0000 12.4756 13.4878
Hg 5.6980 3.2897 10.4243
Hg 5.6980 3.2897 13.3252
Hg 1.6276 10.3896 11.8748
Hg 8.1838 0.0000 0.0000
Hg 8.1838 0.0000 7.9165
Hg 4.0919 7.0874 0.0000
Hg 4.0919 7.0874 7.9165
Hg 6.5563 3.7852 3.9583
Hg 2.4859 10.8851 2.5078
Hg 2.4859 10.8851 5.4087
Hg 8.1838 1.6992 2.3452
Hg 8.1838 1.6992 5.5713
Hg 5.5635 6.2378 2.3452
Hg 5.5635 6.2378 5.5713
Hg 8.1838 2.8594 8.8230
Hg 8.1838 2.8594 14.9265
Hg 6.5682 5.6577 8.8230
Hg 6.5682 5.6577 14.9265
Hg 4.9082 9.5520 1.6308
Hg 4.9082 9.5520 6.2857
Hg 2.5425 13.6494 1.6308
Hg 2.5425 13.6494 6.2857
Hg 4.6388 10.2700 11.8748
Hg 3.0297 13.0571 11.8748
Hg 8.1838 4.7249 1.4607
Hg 8.1838 4.7249 6.4558
Hg 8.1838 4.7249 11.8748
Hg 10.7264 0.5254 9.5473
Hg 10.7264 0.5254 14.2022
Hg 5.8182 9.0266 9.5473
Hg 5.8182 9.0266 14.2022
Hg 11.2135 1.1177 3.9583
Hg 6.5747 9.1523 3.9583
Hg 9.8114 3.7852 3.9583
Hg 8.1838 6.6043 3.9583
Hg 10.6697 3.2897 10.4243
Hg 10.6697 3.2897 13.3252
Hg 8.1838 7.5954 10.4243
Hg 8.1838 7.5954 13.3252
Hg 9.7995 5.6577 8.8230
Hg 9.7995 5.6577 14.9265
Hg 13.1190 0.0000 0.0000
Hg 13.1190 0.0000 7.9165
Hg 6.5595 11.3614 0.0000
Hg 6.5595 11.3614 7.9165
Hg 5.8908 12.8509 10.3978
Hg 5.8908 12.8509 13.3517
Hg 10.8042 6.2378 2.3452
Hg 10.8042 6.2378 5.5713
Hg 14.0747 1.3239 2.4813
Hg 14.0747 1.3239 5.4352
Hg 8.1838 11.5271 2.4813
Hg 8.1838 11.5271 5.4352
Hg 12.8226 3.9048 3.9583
Hg 9.7930 9.1523 3.9583
Hg 13.0920 4.6228 9.5473
Hg 13.0920 4.6228 14.2022
Hg 10.5495 9.0266 9.5473
Hg 10.5495 9.0266 14.2022
```

Total magnetization   0.023 μB/f.u.
Crystal system   hexagonal
ΔH_f (0 K)   -20.228 eV per formula unit

***

Entry 3:
Entry from Materials Project: CdAu after structural relaxation (PBE).

```
2
Lattice="3.1209 0.0000 0.0000 -1.5605 2.7028 0.0000 0.0000 0.0000 4.6680" Properties=species:S:1:pos:R:3 pbc="T T T"
Cd 0.0000 0.0000 0.0000
Au 0.0000 1.8019 2.3340
```

Crystal system   hexagonal
ΔH_f (0 K)   -0.238 eV per formula unit

***

Entry 4:
Entry from Materials Project: Rb2Nb3Cl9 after structural relaxation (PBE).

```
28
Lattice="5.3498 -8.5412 0.0000 5.3498 8.5412 0.0000 -4.4057 0.0000 8.9005" Properties=species:S:1:pos:R:3 pbc="T T T"
Rb 1.2214 5.8292 6.0477
Rb 5.0726 5.8292 2.8529
Rb 1.2214 -5.8292 6.0477
Rb 5.0726 -5.8292 2.8529
Nb 0.1274 1.4739 7.6724
Nb 3.6109 0.0000 1.1696
Nb 0.1274 -1.4739 7.6724
Nb 6.1666 1.4739 1.2281
Nb 2.6830 0.0000 7.7309
Nb 6.1666 -1.4739 1.2281
Cl -0.8975 3.3314 6.0914
Cl -2.0579 1.7523 8.8290
Cl -1.0062 0.0000 6.0147
Cl 1.4465 0.0000 2.6045
Cl 5.3498 3.4816 0.0000
Cl -2.0579 -1.7523 8.8290
Cl 2.0159 1.7408 6.0987
Cl -0.8975 -3.3314 6.0914
Cl 4.2780 1.7408 2.8018
Cl 2.0159 -1.7408 6.0987
Cl 7.1914 3.3314 2.8091
Cl 4.2780 -1.7408 2.8018
Cl 8.3518 1.7523 0.0716
Cl 5.3498 -3.4816 0.0000
Cl 4.8474 0.0000 6.2960
Cl 7.3002 0.0000 2.8858
Cl 8.3518 -1.7523 0.0716
Cl 7.1914 -3.3314 2.8091
```

Crystal system   monoclinic
Total energy after the MP2020 corrections   -5.38 eV per atom
ΔH_f (0 K)   -26.382 eV per formula unit